Entry 1:
An optimized crystal structure of PrMgZn2, computed with PBE.

Unit cell a=4.965 b=4.965 c=4.965 alpha=60.00 beta=60.00 gamma=60.00
Positions (direct):
Pr  0.000  0.000  0.000
Mg  0.500  0.500  0.500
Zn  0.250  0.250  0.250
Zn  0.750  0.750  0.750

Calculated values
**Crystal system**: cubic
**Energy relative to the elements**: -1.36 eV/f.u.

---

Entry 2:
An optimized crystal structure of Mg2CrGa3S8, computed with PBE.

Unit cell a=7.320 b=7.320 c=7.320 alpha=59.88 beta=59.88 gamma=59.88
Positions (direct):
Mg  0.125  0.125  0.125
Mg  0.875  0.875  0.875
Cr  0.500  0.500  0.500
Ga  0.000  0.500  0.500
Ga  0.500  0.000  0.500
Ga  0.500  0.500  0.000
S  0.261  0.261  0.261
S  0.265  0.265  0.714
S  0.265  0.714  0.265
S  0.286  0.735  0.735
S  0.714  0.265  0.265
S  0.735  0.286  0.735
S  0.735  0.735  0.286
S  0.739  0.739  0.739

Calculated values
**Crystal system**: trigonal
**Energy relative to the elements**: -15.47 eV/f.u.

---

Entry 3:
An optimized crystal structure of MgSi2, computed with PBE.

Unit cell a=7.348 b=5.993 c=9.475 alpha=90.00 beta=96.55 gamma=90.00
Positions (direct):
Mg  0.135  0.250  0.143
Mg  0.218  0.750  0.110
Mg  0.255  0.750  0.622
Mg  0.331  0.250  0.647
Mg  0.669  0.750  0.353
Mg  0.745  0.250  0.378
Mg  0.782  0.250  0.890
Mg  0.865  0.750  0.857
Si  0.046  0.547  0.373
Si  0.046  0.953  0.373
Si  0.159  0.047  0.867
Si  0.159  0.453  0.867
Si  0.375  0.045  0.383
Si  0.375  0.455  0.383
Si  0.487  0.549  0.869
Si  0.487  0.951  0.869
Si  0.513  0.049  0.131
Si  0.513  0.451  0.131
Si  0.625  0.545  0.617
Si  0.625  0.955  0.617
Si  0.841  0.547  0.133
Si  0.841  0.953  0.133
Si  0.954  0.047  0.627
Si  0.954  0.453  0.627

Calculated values
**Crystal system**: monoclinic
**Energy above the most stable polymorph in this dataset**: 94 meV per atom
**Energy relative to the elements**: 0.52 eV/f.u.